Entry 1:
Entry from Materials Project: crystalline Ag3B5O9 at its relaxed geometry (PBE).

Cell lengths 6.8215, 9.5488, 11.1511 Å; angles 90.00, 90.00, 90.00 degrees
Closest atoms and distances in Å follow each position.
Atoms (fractional coordinates):
1 Ag 0.0281 0.1026 0.0741  4 O 2.39-2.54
2 Ag 0.0645 0.3089 0.5127  3 O 2.30-2.57
3 Ag 0.1844 0.7297 0.2289  2 O 2.21
4 Ag 0.3156 0.2703 0.7289  2 O 2.21
5 Ag 0.4355 0.6911 0.0127  3 O 2.30-2.57
6 Ag 0.4719 0.8974 0.5741  4 O 2.39-2.54
7 Ag 0.5281 0.3974 0.9259  4 O 2.39-2.54
8 Ag 0.5645 0.1911 0.4873  3 O 2.30-2.57
9 Ag 0.6844 0.7703 0.7711  2 O 2.21
10 Ag 0.8156 0.2297 0.2711  2 O 2.21
11 Ag 0.9355 0.8089 0.9873  3 O 2.30-2.57
12 Ag 0.9719 0.6026 0.4259  4 O 2.39-2.54
13 B 0.0029 0.9265 0.5685  3 O 1.38
14 B 0.0275 0.0344 0.7656  4 O 1.47-1.49
15 B 0.1487 0.0267 0.3763  4 O 1.46-1.52
16 B 0.2028 0.4265 0.1169  4 O 1.47-1.50
17 B 0.2028 0.7357 0.7836  3 O 1.38-1.42
18 B 0.2972 0.2643 0.2836  3 O 1.38-1.42
19 B 0.2972 0.5735 0.6169  4 O 1.47-1.50
20 B 0.3513 0.9733 0.8763  4 O 1.46-1.52
21 B 0.4725 0.9656 0.2656  4 O 1.47-1.49
22 B 0.4971 0.0735 0.0685  3 O 1.38
23 B 0.5029 0.5735 0.4315  3 O 1.38
24 B 0.5275 0.4656 0.2344  4 O 1.47-1.49
25 B 0.6487 0.4733 0.6237  4 O 1.46-1.52
26 B 0.7028 0.0735 0.8831  4 O 1.47-1.50
27 B 0.7028 0.7643 0.2164  3 O 1.38-1.42
28 B 0.7972 0.2357 0.7164  3 O 1.38-1.42
29 B 0.7972 0.9265 0.3831  4 O 1.47-1.50
30 B 0.8513 0.5267 0.1237  4 O 1.46-1.52
31 B 0.9725 0.5344 0.7344  4 O 1.47-1.49
32 B 0.9971 0.4265 0.9315  3 O 1.38
33 O 0.0128 0.9051 0.6912  2 B 1.38-1.49
34 O 0.0448 0.6521 0.8106  2 B 1.38-1.49
35 O 0.0590 0.5322 0.1594  2 B 1.47-1.49
36 O 0.0961 0.5201 0.6260  2 B 1.47-1.48
37 O 0.1605 0.9766 0.5039  2 B 1.38-1.50
38 O 0.1705 0.3931 0.9889  2 B 1.38-1.48
39 O 0.1779 0.2935 0.1869  2 B 1.38-1.50
40 O 0.2336 0.0611 0.7970  2 B 1.46-1.47
41 O 0.2345 0.1739 0.3769  2 B 1.42-1.52
42 O 0.2655 0.8261 0.8769  2 B 1.42-1.52
43 O 0.2664 0.9389 0.2970  2 B 1.46-1.47
44 O 0.3221 0.7065 0.6869  2 B 1.38-1.50
45 O 0.3295 0.6069 0.4889  2 B 1.38-1.48
46 O 0.3395 0.0234 0.0039  2 B 1.38-1.50
47 O 0.4039 0.4799 0.1260  2 B 1.47-1.48
48 O 0.4410 0.4678 0.6594  2 B 1.47-1.49
49 O 0.4552 0.3479 0.3106  2 B 1.38-1.49
50 O 0.4872 0.0949 0.1912  2 B 1.38-1.49
51 O 0.5128 0.5949 0.3088  2 B 1.38-1.49
52 O 0.5448 0.8479 0.1894  2 B 1.38-1.49
53 O 0.5590 0.9678 0.8406  2 B 1.47-1.49
54 O 0.5961 0.9799 0.3740  2 B 1.47-1.48
55 O 0.6605 0.5234 0.4961  2 B 1.38-1.50
56 O 0.6705 0.1069 0.0111  2 B 1.38-1.48
57 O 0.6779 0.2065 0.8131  2 B 1.38-1.50
58 O 0.7345 0.3261 0.6231  2 B 1.42-1.52
59 O 0.7336 0.4389 0.2030  2 B 1.46-1.47
60 O 0.7664 0.5611 0.7030  2 B 1.46-1.47
61 O 0.7655 0.6739 0.1231  2 B 1.42-1.52
62 O 0.8221 0.7935 0.3131  2 B 1.38-1.50
63 O 0.8295 0.8931 0.5111  2 B 1.38-1.48
64 O 0.8395 0.4766 0.9961  2 B 1.38-1.50
65 O 0.9039 0.0201 0.8740  2 B 1.47-1.48
66 O 0.9410 0.0322 0.3406  2 B 1.47-1.49
67 O 0.9552 0.1521 0.6894  2 B 1.38-1.49
68 O 0.9872 0.4051 0.8088  2 B 1.38-1.49



Entry 2:
Entry from Materials Project: crystalline BaAg at its relaxed geometry (PBE).

Cell lengths 8.7947, 5.0215, 6.7466 Å; angles 90.00, 90.00, 90.00 degrees
Closest atoms and distances in Å follow each position.
Atoms (fractional coordinates):
1 Ba 0.1808 0.2500 0.1331  7 Ag 3.51-3.71
2 Ba 0.3192 0.7500 0.6331  7 Ag 3.51-3.71
3 Ba 0.6808 0.2500 0.3669  7 Ag 3.51-3.71
4 Ba 0.8192 0.7500 0.8669  7 Ag 3.51-3.71
5 Ag 0.0338 0.2500 0.6170  2 Ag 3.02
6 Ag 0.4662 0.7500 0.1170  2 Ag 3.02
7 Ag 0.5338 0.2500 0.8830  2 Ag 3.02
8 Ag 0.9662 0.7500 0.3830  2 Ag 3.02



Entry 3:
Entry from Materials Project: crystalline BaAg5 at its relaxed geometry (PBE).

Cell lengths 5.9896, 5.9896, 4.5838 Å; angles 90.00, 90.00, 120.00 degrees
Closest atoms and distances in Å follow each position.
Atoms (fractional coordinates):
1 Ba 0.0000 0.0000 0.0000  18 Ag 3.46-3.77
2 Ag 0.0000 0.5000 0.5000  8 Ag 2.87-2.99
3 Ag 0.3333 0.6667 0.0000  6 Ag 2.87
4 Ag 0.5000 0.0000 0.5000  8 Ag 2.87-2.99
5 Ag 0.5000 0.5000 0.5000  8 Ag 2.87-2.99
6 Ag 0.6667 0.3333 0.0000  6 Ag 2.87



Entry 4:
Entry from Materials Project: crystalline BaCaAgF7 at its relaxed geometry (PBE).

Cell lengths 5.9113, 10.6179, 10.1925 Å; angles 90.00, 91.89, 90.00 degrees
Closest atoms and distances in Å follow each position.
Atoms (fractional coordinates):
1 Ba 0.2289 0.1679 0.4967  5 F 2.60-2.90
2 Ba 0.2289 0.3321 0.9967  5 F 2.60-2.90
3 Ba 0.7711 0.6679 0.0033  5 F 2.60-2.90
4 Ba 0.7711 0.8321 0.5033  5 F 2.60-2.90
5 Ca 0.2064 0.5898 0.3187  6 F 2.18-2.42
6 Ca 0.2064 0.9102 0.8187  6 F 2.18-2.42
7 Ca 0.7936 0.0898 0.1813  6 F 2.18-2.42
8 Ca 0.7936 0.4102 0.6813  6 F 2.18-2.42
9 Ag 0.3094 0.6215 0.6899  6 F 2.11-2.15
10 Ag 0.3094 0.8785 0.1899  6 F 2.11-2.15
11 Ag 0.6906 0.1215 0.8101  6 F 2.11-2.15
12 Ag 0.6906 0.3785 0.3101  6 F 2.11-2.15
13 F 0.0170 0.7140 0.7638  1 Ag 2.15
14 F 0.0170 0.7860 0.2638  1 Ag 2.15
15 F 0.0845 0.5346 0.1230  1 Ca 2.18
16 F 0.0845 0.9654 0.6230  1 Ca 2.18
17 F 0.1511 0.0458 0.1225  1 Ag 2.11, 1 Ca 2.26
18 F 0.1511 0.4542 0.6225  1 Ag 2.11, 1 Ca 2.26
19 F 0.2098 0.7102 0.5096  1 Ag 2.13, 1 Ca 2.33
20 F 0.2098 0.7898 0.0096  1 Ag 2.13, 1 Ca 2.33
21 F 0.3807 0.0834 0.9012  1 Ag 2.12, 1 Ca 2.26
22 F 0.3807 0.4166 0.4012  1 Ag 2.12, 1 Ca 2.26
23 F 0.4380 0.5316 0.8625  1 Ag 2.12
24 F 0.4380 0.9684 0.3625  1 Ag 2.12
25 F 0.4989 0.7178 0.2573  1 Ag 2.14, 1 Ca 2.30
26 F 0.4989 0.7822 0.7573  1 Ag 2.14, 1 Ca 2.30
27 F 0.5011 0.2178 0.2427  1 Ag 2.14, 1 Ca 2.30
28 F 0.5011 0.2822 0.7427  1 Ag 2.14, 1 Ca 2.30
29 F 0.5620 0.0316 0.6375  1 Ag 2.12
30 F 0.5620 0.4684 0.1375  1 Ag 2.12
31 F 0.6193 0.5834 0.5988  1 Ag 2.12, 1 Ca 2.26
32 F 0.6193 0.9166 0.0988  1 Ag 2.12, 1 Ca 2.26
33 F 0.7902 0.2102 0.9904  1 Ag 2.13, 1 Ca 2.33
34 F 0.7902 0.2898 0.4904  1 Ag 2.13, 1 Ca 2.33
35 F 0.8489 0.5458 0.3775  1 Ag 2.11, 1 Ca 2.26
36 F 0.8489 0.9542 0.8775  1 Ag 2.11, 1 Ca 2.26
37 F 0.9155 0.0346 0.3770  1 Ca 2.18
38 F 0.9155 0.4654 0.8770  1 Ca 2.18
39 F 0.9830 0.2140 0.7362  1 Ag 2.15
40 F 0.9830 0.2860 0.2362  1 Ag 2.15



Entry 5:
Entry from Materials Project: crystalline Ba2MgCuAg2F14 at its relaxed geometry (PBE).

Cell lengths 5.3724, 7.6572, 15.2823 Å; angles 88.48, 89.62, 69.54 degrees
Closest atoms and distances in Å follow each position.
Atoms (fractional coordinates):
1 Ba 0.0976 0.1296 0.1254  9 F 2.70-3.01
2 Ba 0.2743 0.1301 0.6257  9 F 2.70-3.02
3 Ba 0.7257 0.8699 0.3743  9 F 2.70-3.02
4 Ba 0.9024 0.8704 0.8746  9 F 2.70-3.01
5 Mg 0.4291 0.4978 0.2482  4 F 2.02-2.07
6 Mg 0.5709 0.5022 0.7518  4 F 2.02-2.07
7 Cu 0.5000 0.5000 0.0000  4 F 1.87
8 Cu 0.5000 0.5000 0.5000  4 F 1.85-1.88
9 Ag 0.0924 0.2669 0.3722  6 F 2.10-2.19
10 Ag 0.1453 0.2657 0.8722  6 F 2.09-2.18
11 Ag 0.8547 0.7343 0.1278  6 F 2.09-2.18
12 Ag 0.9076 0.7331 0.6278  6 F 2.10-2.19
13 F 0.0267 0.8455 0.2284  1 Ag 2.14
14 F 0.1215 0.5280 0.3334  1 Mg 2.05, 1 Ag 2.13
15 F 0.1339 0.9893 0.4029  1 Ag 2.10
16 F 0.1350 0.7837 0.0408  1 Ag 2.13
17 F 0.1395 0.4717 0.1662  1 Mg 2.07, 1 Ag 2.13
18 F 0.1468 0.6513 0.5093  1 Cu 1.85
19 F 0.2177 0.7107 0.7227  1 Mg 2.05, 1 Ag 2.17
20 F 0.2932 0.3499 0.9904  1 Cu 1.87
21 F 0.3733 0.9885 0.9038  1 Ag 2.09
22 F 0.3771 0.1581 0.2700  1 Ag 2.15
23 F 0.3834 0.5839 0.8864  1 Cu 1.87
24 F 0.4204 0.2167 0.4588  1 Ag 2.13
25 F 0.4326 0.2917 0.7770  1 Mg 2.02, 1 Ag 2.17
26 F 0.4674 0.4144 0.6143  1 Cu 1.88
27 F 0.5326 0.5856 0.3857  1 Cu 1.88
28 F 0.5674 0.7083 0.2230  1 Mg 2.02, 1 Ag 2.17
29 F 0.5796 0.7833 0.5412  1 Ag 2.13
30 F 0.6166 0.4161 0.1136  1 Cu 1.87
31 F 0.6229 0.8419 0.7300  1 Ag 2.15
32 F 0.6267 0.0115 0.0962  1 Ag 2.09
33 F 0.7068 0.6501 0.0096  1 Cu 1.87
34 F 0.7823 0.2893 0.2773  1 Mg 2.05, 1 Ag 2.17
35 F 0.8532 0.3487 0.4907  1 Cu 1.85
36 F 0.8605 0.5283 0.8338  1 Mg 2.07, 1 Ag 2.13
37 F 0.8650 0.2163 0.9592  1 Ag 2.13
38 F 0.8661 0.0107 0.5971  1 Ag 2.10
39 F 0.8785 0.4720 0.6666  1 Mg 2.05, 1 Ag 2.13
40 F 0.9733 0.1545 0.7716  1 Ag 2.14



Entry 6:
Entry from Materials Project: crystalline Ba2ZnCuAg2F14 at its relaxed geometry (PBE).

Cell lengths 7.6902, 7.6902, 15.4577 Å; angles 91.59, 91.59, 41.19 degrees
Closest atoms and distances in Å follow each position.
Atoms (fractional coordinates):
1 Ba 0.0998 0.2734 0.1257  9 F 2.71-3.04
2 Ba 0.2734 0.0998 0.6257  9 F 2.71-3.04
3 Ba 0.7266 0.9002 0.3743  9 F 2.71-3.04
4 Ba 0.9002 0.7266 0.8743  9 F 2.71-3.04
5 Zn 0.4250 0.5750 0.2500  4 F 2.04-2.10
6 Zn 0.5750 0.4250 0.7500  4 F 2.04-2.10
7 Cu 0.5000 0.5000 0.0000  4 F 1.88
8 Cu 0.5000 0.5000 0.5000  4 F 1.88
9 Ag 0.0893 0.1451 0.3726  6 F 2.09-2.20
10 Ag 0.1451 0.0893 0.8726  6 F 2.09-2.20
11 Ag 0.8549 0.9107 0.1274  6 F 2.09-2.20
12 Ag 0.9107 0.8549 0.6274  6 F 2.09-2.20
13 F 0.0208 0.6286 0.2290  1 Ag 2.17
14 F 0.1095 0.8623 0.3347  1 Zn 2.10, 1 Ag 2.13
15 F 0.1339 0.5811 0.0404  1 Ag 2.15
16 F 0.1369 0.3735 0.4047  1 Ag 2.09
17 F 0.1377 0.8905 0.1653  1 Zn 2.10, 1 Ag 2.13
18 F 0.1420 0.7076 0.5092  1 Cu 1.88
19 F 0.2265 0.5650 0.7219  1 Zn 2.04, 1 Ag 2.20
20 F 0.2924 0.8580 0.9908  1 Cu 1.88
21 F 0.3714 0.9792 0.2710  1 Ag 2.17
22 F 0.3735 0.1369 0.9047  1 Ag 2.09
23 F 0.3798 0.5312 0.8875  1 Cu 1.88
24 F 0.4189 0.8661 0.4596  1 Ag 2.15
25 F 0.4350 0.7735 0.7781  1 Zn 2.04, 1 Ag 2.20
26 F 0.4688 0.6202 0.6125  1 Cu 1.88
27 F 0.5312 0.3798 0.3875  1 Cu 1.88
28 F 0.5650 0.2265 0.2219  1 Zn 2.04, 1 Ag 2.20
29 F 0.5811 0.1339 0.5404  1 Ag 2.15
30 F 0.6202 0.4688 0.1125  1 Cu 1.88
31 F 0.6265 0.8631 0.0953  1 Ag 2.09
32 F 0.6286 0.0208 0.7290  1 Ag 2.17
33 F 0.7076 0.1420 0.0092  1 Cu 1.88
34 F 0.7735 0.4350 0.2781  1 Zn 2.04, 1 Ag 2.20
35 F 0.8580 0.2924 0.4908  1 Cu 1.88
36 F 0.8623 0.1095 0.8347  1 Zn 2.10, 1 Ag 2.13
37 F 0.8631 0.6265 0.5953  1 Ag 2.09
38 F 0.8661 0.4189 0.9596  1 Ag 2.15
39 F 0.8905 0.1377 0.6653  1 Zn 2.10, 1 Ag 2.13
40 F 0.9792 0.3714 0.7710  1 Ag 2.17



Number 1: energy relative to the elements -36.83 eV/f.u.. Number 2: energy relative to the elements -0.56 eV/f.u.. Number 3: energy relative to the elements -0.98 eV/f.u.. Number 4: energy relative to the elements -30.13 eV/f.u.. Number 5: energy relative to the elements -52.24 eV/f.u.. Number 6: energy relative to the elements -48.77 eV/f.u..